Computed, not measured: a relaxed structure of IrSe3Br9 at the PBE level of DFT.

Values from the calculation:
excess energy over the best structure of this formula in the dataset = 0.006 eV per atom
total energy = -2.8498 eV per atom
symmetry = P2_1/c (14)
magnetization = 0.000 μB per formula unit
formation energy from the elements = -0.600 eV/atom

Unit cell a=12.6014 b=9.9627 c=18.9728 alpha=90.00 beta=130.52 gamma=90.00
Sites, in units of the cell vectors:
Ir  0.2500  0.2403  0.0025
Ir  0.2500  0.2597  0.5025
Ir  0.7500  0.7403  0.4975
Ir  0.7500  0.7597  0.9975
Se  0.0044  0.1910  0.9119
Se  0.0044  0.3090  0.4119
Se  0.2441  0.2429  0.3729
Se  0.2441  0.2571  0.8729
Se  0.3263  0.0098  0.0391
Se  0.3263  0.4902  0.5391
Se  0.6737  0.5098  0.4609
Se  0.6737  0.9902  0.9609
Se  0.7559  0.7429  0.1271
Se  0.7559  0.7571  0.6271
Se  0.9956  0.6910  0.5881
Se  0.9956  0.8090  0.0881
Br  0.0965  0.6457  0.7457
Br  0.0965  0.8543  0.2457
Br  0.1207  0.6286  0.4444
Br  0.1207  0.8714  0.9444
Br  0.1223  0.6131  0.1119
Br  0.1223  0.8869  0.6119
Br  0.2139  0.2347  0.6183
Br  0.2139  0.2653  0.1183
Br  0.2222  0.0106  0.4675
Br  0.2222  0.4894  0.9675
Br  0.2778  0.0363  0.8399
Br  0.2778  0.4637  0.3399
Br  0.4028  0.5637  0.6854
Br  0.4028  0.9363  0.1854
Br  0.4505  0.1428  0.4155
Br  0.4505  0.3572  0.9155
Br  0.4877  0.7412  0.8727
Br  0.4877  0.7588  0.3727
Br  0.5123  0.2412  0.6273
Br  0.5123  0.2588  0.1273
Br  0.5495  0.6428  0.0845
Br  0.5495  0.8572  0.5845
Br  0.5972  0.0637  0.8146
Br  0.5972  0.4363  0.3146
Br  0.7222  0.5363  0.6601
Br  0.7222  0.9637  0.1601
Br  0.7778  0.5106  0.0325
Br  0.7778  0.9894  0.5325
Br  0.7861  0.7347  0.8817
Br  0.7861  0.7653  0.3817
Br  0.8777  0.1131  0.3881
Br  0.8777  0.3869  0.8881
Br  0.8793  0.1286  0.0556
Br  0.8793  0.3714  0.5556
Br  0.9035  0.1457  0.7543
Br  0.9035  0.3543  0.2543